This record from the Materials Project database describes an optimized crystal structure of Ca3Tl2O6. The functional is PBE-GGA.

Results
* SG: Pbam (55)
* energy: -5.62 eV/atom

Cell lengths 11.388, 16.751, 3.375 Å; angles 90.00, 90.00, 90.00 degrees
Sites, in units of the cell vectors:
Ca1 0.104 0.145 0.000
Ca2 0.133 0.540 0.000
Ca3 0.171 0.775 0.000
Ca4 0.329 0.275 0.000
Ca5 0.367 0.040 0.000
Ca6 0.396 0.645 0.000
Ca7 0.604 0.355 0.000
Ca8 0.633 0.960 0.000
Ca9 0.671 0.725 0.000
Ca10 0.829 0.225 0.000
Ca11 0.867 0.460 0.000
Ca12 0.896 0.855 0.000
Tl1 0.085 0.351 0.500
Tl2 0.135 0.954 0.500
Tl3 0.365 0.454 0.500
Tl4 0.415 0.851 0.500
Tl5 0.585 0.149 0.500
Tl6 0.635 0.546 0.500
Tl7 0.865 0.046 0.500
Tl8 0.915 0.649 0.500
O1 0.000 0.000 0.000
O2 0.000 0.500 0.500
O3 0.043 0.666 0.000
O4 0.053 0.840 0.500
O5 0.192 0.238 0.500
O6 0.216 0.404 0.000
O7 0.219 0.068 0.500
O8 0.281 0.568 0.500
O9 0.284 0.904 0.000
O10 0.308 0.738 0.500
O11 0.447 0.340 0.500
O12 0.457 0.166 0.000
O13 0.500 0.000 0.500
O14 0.500 0.500 0.000
O15 0.543 0.834 0.000
O16 0.553 0.660 0.500
O17 0.692 0.262 0.500
O18 0.716 0.096 0.000
O19 0.719 0.432 0.500
O20 0.781 0.932 0.500
O21 0.784 0.596 0.000
O22 0.808 0.762 0.500
O23 0.947 0.160 0.500
O24 0.957 0.334 0.000